Arrangement i

Here is crystalline MgMn2B8O14 at its relaxed geometry from the Materials Project database. Energies are from PBE+U.

a = 5.237 Å, b = 6.605 Å, c = 6.605 Å
α = 115.55°, β = 90.00°, γ = 90.00°
Element x y z (fractional)
1 B 0.992 0.286 0.717
2 B 0.750 0.114 0.346
3 B 0.508 0.286 0.717
4 B 0.750 0.346 0.114
5 B 0.508 0.717 0.286
6 B 0.250 0.668 0.922
7 B 0.992 0.717 0.286
8 B 0.250 0.922 0.668
9 O 0.522 0.190 0.475
10 O 0.750 0.243 0.821
11 O 0.750 0.138 0.138
12 O 0.471 0.809 0.531
13 O 0.250 0.869 0.869
14 O 0.250 0.178 0.764
15 O 0.750 0.821 0.243
16 O 0.471 0.531 0.809
17 O 0.522 0.475 0.190
18 O 0.029 0.809 0.531
19 O 0.250 0.764 0.178
20 O 0.978 0.475 0.190
21 O 0.029 0.531 0.809
22 O 0.978 0.190 0.475
23 Mn 0.250 0.178 0.178
24 Mn 0.750 0.758 0.758
25 Mg 0.250 0.522 0.522

Values from the calculation:
Volume: 206.1 Å³/f.u.
Theoretical density: 3.583 g/cm3
Crystal system: orthorhombic

---

Arrangement ii

Here is crystalline MgMn2B8O14 at its relaxed geometry from the Materials Project database. Energies are from PBE+U.

a = 5.075 Å, b = 7.209 Å, c = 7.209 Å
α = 106.71°, β = 89.25°, γ = 89.25°
Element x y z (fractional)
1 O 0.742 0.224 0.797
2 O 0.994 0.506 0.215
3 O 0.523 0.501 0.220
4 O 0.778 0.217 0.213
5 O 0.477 0.780 0.499
6 O 0.008 0.496 0.784
7 O 0.522 0.225 0.496
8 O 0.222 0.787 0.783
9 O 0.478 0.504 0.775
10 O 0.006 0.785 0.494
11 O 0.748 0.800 0.219
12 O 0.258 0.203 0.776
13 O 0.992 0.216 0.504
14 O 0.252 0.781 0.200
15 B 0.500 0.284 0.716
16 B 0.500 0.728 0.272
17 B 0.763 0.415 0.206
18 B 0.000 0.276 0.724
19 B 0.762 0.204 0.407
20 B 0.237 0.794 0.585
21 B 0.238 0.593 0.796
22 B 0.000 0.730 0.270
23 Mg 0.500 0.052 0.948
24 Mn 0.747 0.705 0.699
25 Mn 0.253 0.301 0.295

Values from the calculation:
Volume: 252.6 Å³/f.u.
Theoretical density: 2.923 g/cm3
Crystal system: monoclinic

---

Name the least stable of them. arrangement i.

---

Arrangement i

Here is crystalline MnB4O16 at its relaxed geometry from the Materials Project database. Energies are from PBE+U.

a = 7.425 Å, b = 9.809 Å, c = 9.897 Å
α = 102.45°, β = 111.31°, γ = 88.89°
Element x y z (fractional)
1 O 0.756 0.676 0.702
2 O 0.762 0.368 0.878
3 O 0.744 0.569 0.149
4 O 0.024 0.792 0.196
5 O 0.281 0.355 0.743
6 O 0.704 0.577 0.801
7 O 0.719 0.645 0.257
8 O 0.145 0.604 0.326
9 O 0.395 0.910 0.361
10 O 0.862 0.171 0.988
11 O 0.726 0.798 0.747
12 O 0.822 0.334 0.236
13 O 0.274 0.202 0.253
14 O 0.855 0.396 0.674
15 O 0.819 0.156 0.535
16 O 0.874 0.736 0.364
17 O 0.256 0.431 0.851
18 O 0.752 0.064 0.176
19 O 0.605 0.090 0.639
20 O 0.238 0.632 0.122
21 O 0.181 0.844 0.465
22 O 0.976 0.208 0.804
23 O 0.511 0.216 0.016
24 O 0.434 0.008 0.623
25 O 0.126 0.264 0.636
26 O 0.178 0.666 0.764
27 O 0.248 0.936 0.824
28 O 0.296 0.423 0.199
29 O 0.566 0.992 0.377
30 O 0.244 0.324 0.298
31 O 0.138 0.829 0.012
32 O 0.489 0.784 0.984
33 B 0.866 0.250 0.888
34 B 0.930 0.258 0.669
35 B 0.662 0.077 0.517
36 B 0.070 0.742 0.331
37 B 0.338 0.923 0.483
38 B 0.134 0.750 0.112
39 B 0.223 0.554 0.221
40 B 0.777 0.446 0.779
41 Mn 0.732 0.198 0.107
42 Mn 0.268 0.802 0.893

Values from the calculation:
Volume: 327.2 Å³/f.u.
Theoretical density: 1.797 g/cm3
Crystal system: triclinic

---

Arrangement ii

Here is crystalline MnB4O16 at its relaxed geometry from the Materials Project database. Energies are from PBE+U.

a = 7.664 Å, b = 8.581 Å, c = 11.938 Å
α = 103.60°, β = 106.04°, γ = 90.55°
Element x y z (fractional)
1 O 0.740 0.754 0.950
2 O 0.022 0.117 0.420
3 O 0.260 0.246 0.050
4 O 0.274 0.892 0.790
5 O 0.239 0.382 0.010
6 O 0.208 0.918 0.147
7 O 0.282 0.061 0.217
8 O 0.174 0.616 0.589
9 O 0.800 0.615 0.251
10 O 0.726 0.108 0.210
11 O 0.208 0.640 0.122
12 O 0.718 0.939 0.783
13 O 0.978 0.883 0.580
14 O 0.792 0.360 0.878
15 O 0.826 0.384 0.411
16 O 0.975 0.255 0.221
17 O 0.196 0.820 0.867
18 O 0.943 0.665 0.348
19 O 0.057 0.335 0.652
20 O 0.597 0.704 0.373
21 O 0.403 0.296 0.627
22 O 0.761 0.618 0.990
23 O 0.804 0.180 0.133
24 O 0.502 0.476 0.830
25 O 0.025 0.745 0.779
26 O 0.306 0.814 0.325
27 O 0.694 0.186 0.675
28 O 0.560 0.219 0.478
29 O 0.440 0.781 0.522
30 O 0.200 0.385 0.749
31 O 0.498 0.524 0.170
32 O 0.792 0.082 0.853
33 Mn 0.894 0.223 0.343
34 Mn 0.106 0.777 0.657
35 B 0.244 0.786 0.206
36 B 0.622 0.617 0.271
37 B 0.680 0.480 0.891
38 B 0.445 0.764 0.411
39 B 0.756 0.214 0.794
40 B 0.555 0.236 0.589
41 B 0.378 0.383 0.729
42 B 0.320 0.520 0.109

Values from the calculation:
Volume: 365.5 Å³/f.u.
Theoretical density: 1.609 g/cm3
Crystal system: triclinic

---

Arrangement iii

Here is crystalline MnB4O16 at its relaxed geometry from the Materials Project database. Energies are from PBE+U.

a = 7.523 Å, b = 8.484 Å, c = 11.266 Å
α = 97.82°, β = 97.90°, γ = 106.42°
Element x y z (fractional)
1 O 0.667 0.553 0.155
2 O 0.729 0.735 0.699
3 O 0.872 0.051 0.117
4 O 0.492 0.050 0.270
5 O 0.493 0.705 0.242
6 O 0.434 0.730 0.357
7 O 0.209 0.304 0.636
8 O 0.409 0.391 0.357
9 O 0.941 0.189 0.478
10 O 0.507 0.295 0.758
11 O 0.822 0.848 0.200
12 O 0.599 0.793 0.917
13 O 0.552 0.825 0.444
14 O 0.099 0.826 0.319
15 O 0.333 0.447 0.845
16 O 0.448 0.175 0.556
17 O 0.120 0.956 0.140
18 O 0.566 0.270 0.643
19 O 0.901 0.174 0.681
20 O 0.059 0.811 0.522
21 O 0.018 0.340 0.885
22 O 0.791 0.696 0.364
23 O 0.218 0.621 0.971
24 O 0.508 0.950 0.730
25 O 0.178 0.152 0.800
26 O 0.982 0.660 0.115
27 O 0.271 0.265 0.301
28 O 0.591 0.609 0.643
29 O 0.128 0.949 0.883
30 O 0.880 0.044 0.860
31 O 0.782 0.379 0.029
32 O 0.401 0.207 0.083
33 Mn 0.342 0.111 0.190
34 Mn 0.658 0.889 0.810
35 B 0.983 0.779 0.401
36 B 0.011 0.820 0.193
37 B 0.815 0.533 0.098
38 B 0.702 0.702 0.243
39 B 0.017 0.221 0.599
40 B 0.989 0.180 0.807
41 B 0.185 0.467 0.902
42 B 0.298 0.298 0.757

Values from the calculation:
Volume: 335.7 Å³/f.u.
Theoretical density: 1.752 g/cm3
Crystal system: triclinic

---

Name the least stable of them. arrangement iii.

---

Arrangement i

Here is crystalline MnB4O16 at its relaxed geometry from the Materials Project database. Energies are from PBE+U.

a = 7.484 Å, b = 8.337 Å, c = 9.848 Å
α = 92.73°, β = 104.29°, γ = 108.49°
Element x y z (fractional)
1 O 0.015 0.342 0.892
2 O 0.912 0.087 0.076
3 O 0.888 0.190 0.653
4 O 0.923 0.183 0.420
5 O 0.207 0.307 0.613
6 O 0.450 0.940 0.759
7 O 0.536 0.277 0.765
8 O 0.346 0.273 0.123
9 O 0.793 0.693 0.387
10 O 0.826 0.838 0.188
11 O 0.147 0.968 0.151
12 O 0.985 0.658 0.108
13 O 0.654 0.727 0.877
14 O 0.624 0.347 0.683
15 O 0.529 0.341 0.374
16 O 0.853 0.032 0.849
17 O 0.174 0.162 0.812
18 O 0.772 0.675 0.705
19 O 0.682 0.873 0.591
20 O 0.318 0.127 0.409
21 O 0.224 0.637 0.978
22 O 0.077 0.817 0.580
23 O 0.471 0.659 0.626
24 O 0.667 0.538 0.150
25 O 0.228 0.325 0.295
26 O 0.776 0.363 0.022
27 O 0.088 0.913 0.924
28 O 0.112 0.810 0.347
29 O 0.550 0.060 0.241
30 O 0.376 0.653 0.317
31 O 0.464 0.723 0.235
32 O 0.333 0.462 0.850
33 Mn 0.615 0.859 0.751
34 Mn 0.385 0.141 0.249
35 B 0.187 0.478 0.910
36 B 0.813 0.522 0.090
37 B 0.268 0.309 0.759
38 B 0.995 0.776 0.438
39 B 0.732 0.691 0.241
40 B 0.005 0.224 0.562
41 B 0.022 0.821 0.199
42 B 0.978 0.179 0.801

Values from the calculation:
Volume: 279.7 Å³/f.u.
Theoretical density: 2.103 g/cm3
Crystal system: triclinic

---

Arrangement ii

Here is crystalline MnB4O16 at its relaxed geometry from the Materials Project database. Energies are from PBE+U.

a = 7.091 Å, b = 8.070 Å, c = 11.038 Å
α = 97.24°, β = 101.81°, γ = 101.65°
Element x y z (fractional)
1 O 0.408 0.200 0.089
2 O 0.592 0.800 0.911
3 O 0.172 0.139 0.805
4 O 0.427 0.342 0.342
5 O 0.213 0.284 0.633
6 O 0.520 0.039 0.282
7 O 0.238 0.263 0.314
8 O 0.931 0.192 0.464
9 O 0.880 0.070 0.115
10 O 0.506 0.236 0.775
11 O 0.787 0.716 0.367
12 O 0.120 0.930 0.885
13 O 0.355 0.651 0.359
14 O 0.139 0.960 0.146
15 O 0.762 0.737 0.686
16 O 0.226 0.625 0.980
17 O 0.828 0.861 0.195
18 O 0.645 0.349 0.641
19 O 0.494 0.764 0.225
20 O 0.112 0.815 0.328
21 O 0.774 0.375 0.020
22 O 0.333 0.439 0.845
23 O 0.988 0.656 0.111
24 O 0.667 0.561 0.155
25 O 0.573 0.658 0.658
26 O 0.888 0.185 0.672
27 O 0.416 0.152 0.552
28 O 0.861 0.040 0.854
29 O 0.069 0.808 0.536
30 O 0.584 0.848 0.448
31 O 0.012 0.344 0.889
32 O 0.480 0.961 0.718
33 B 0.978 0.182 0.805
34 B 0.813 0.534 0.094
35 B 0.009 0.219 0.591
36 B 0.022 0.818 0.195
37 B 0.312 0.276 0.765
38 B 0.991 0.781 0.409
39 B 0.187 0.466 0.906
40 B 0.688 0.724 0.235
41 Mn 0.645 0.874 0.792
42 Mn 0.355 0.126 0.208

Values from the calculation:
Volume: 298.1 Å³/f.u.
Theoretical density: 1.973 g/cm3
Crystal system: triclinic

---

Name the least stable of them. arrangement ii.